This record from Materials Project describes a relaxed structure of Ga11NO15. The functional is PBE.

SG: P1, No. 1
corrected total energy (MP2020 scheme): -172.4 eV for the cell shown
energy relative to the elements: -2093 meV/atom
electronic total energy: -6.002 eV/atom

Cell lengths 5.8705, 5.9611, 8.3035 Å; angles 89.86, 88.41, 89.77 degrees
Fractional positions:
Ga  0.0000  0.0000  0.0000
Ga  0.9997  0.4890  0.9900
Ga  0.2258  0.7495  0.2542
Ga  0.4642  0.4868  0.5171
Ga  0.4636  0.9992  0.5183
Ga  0.4764  0.2480  0.1326
Ga  0.5003  0.7385  0.8695
Ga  0.7332  0.2415  0.7540
Ga  0.7378  0.7503  0.2539
Ga  0.9624  0.7438  0.6392
Ga  0.9871  0.2291  0.3684
N  0.9820  0.9679  0.2387
O  0.2180  0.2478  0.0117
O  0.2287  0.7365  0.0036
O  0.2393  0.7428  0.5035
O  0.2518  0.2439  0.4901
O  0.4807  0.5186  0.2640
O  0.4818  0.9781  0.2631
O  0.4996  0.4830  0.7437
O  0.5003  0.9980  0.7456
O  0.7076  0.7410  0.4954
O  0.7159  0.2418  0.5087
O  0.7445  0.2463  0.9981
O  0.7486  0.7327  0.0124
O  0.9642  0.9978  0.7684
O  0.9648  0.4846  0.7614
O  0.9822  0.5039  0.2442